(1)
A relaxed SbPb3 crystal, computed with PBE.

Structure (POSCAR):
```
SbPb3
1.0
1.9074 2.2162 1.8517
-2.6535 -1.6563 1.4812
7.1948 -8.7686 3.0837
Sb Pb
1 3
Direct
0.3333 0.6667 0.5000 Sb
0.3333 0.6667 0.0000 Pb
0.0000 0.0000 0.7459 Pb
0.0000 0.0000 0.2541 Pb
```

Values from the calculation:
The formation energy is 0.0963 eV per atom. As for the magnetization: 0.00 Bohr magnetons per cell.

---

(2)
A relaxed ZnRhO3 crystal, computed with PBE.

Structure (POSCAR):
```
ZnRhO3
1.0
-3.4491 -1.3038 -1.2435
-1.1575 -0.4546 3.6872
-1.3807 3.6381 0.0151
Zn Rh O
1 1 3
Direct
0.0000 0.0000 0.0000 Zn
0.5000 0.5000 0.5000 Rh
0.5000 0.5000 0.0000 O
0.5000 0.0000 0.5000 O
0.0000 0.5000 0.5000 O
```

Values from the calculation:
The formation energy is -0.6853 eV per atom. As for the magnetization: 1.23 Bohr magnetons per cell.

---

(3)
A relaxed La2Al7Cu crystal, computed with PBE.

Structure (POSCAR):
```
La2Al7Cu
1.0
4.3271 0.0000 0.0000
0.0000 4.3271 0.0000
0.0000 0.0000 10.9888
La Al Cu
2 7 1
Direct
0.0000 0.0000 0.9989 La
0.5000 0.5000 0.4980 La
0.0000 0.5000 0.2395 Al
0.5000 0.0000 0.7536 Al
0.5000 0.0000 0.2395 Al
0.0000 0.5000 0.7536 Al
0.0000 0.0000 0.6150 Al
0.0000 0.0000 0.3823 Al
0.5000 0.5000 0.8988 Al
0.5000 0.5000 0.1208 Cu
```

Values from the calculation:
The formation energy is -0.4244 eV per atom.

---

(4)
A relaxed TiTlPO5 crystal, computed with PBE.

Structure (POSCAR):
```
TiTlPO5
1.0
-5.4620 3.6532 -0.3068
-2.9959 -5.2168 -8.7828
-6.3054 -8.8072 7.3822
Ti Tl P O
8 8 8 40
Direct
0.2500 0.7500 0.1194 Ti
0.7500 0.7500 0.6194 Ti
0.7500 0.2500 0.8806 Ti
0.5000 0.5000 0.0000 Ti
0.2500 0.2500 0.3806 Ti
0.0000 0.0000 0.5000 Ti
0.5000 0.5000 0.5000 Ti
0.0000 0.0000 0.0000 Ti
0.0473 0.3653 0.6436 Tl
0.9527 0.3653 0.1436 Tl
0.9527 0.6347 0.3564 Tl
0.4527 0.8653 0.8564 Tl
0.4527 0.1347 0.6436 Tl
0.0473 0.6347 0.8564 Tl
0.5473 0.1347 0.1436 Tl
0.5473 0.8653 0.3564 Tl
0.5848 0.5000 0.7500 P
0.4152 0.5000 0.2500 P
0.0848 0.0000 0.2500 P
0.7500 0.7500 0.0696 P
0.9152 0.0000 0.7500 P
0.7500 0.2500 0.4304 P
0.2500 0.7500 0.5696 P
0.2500 0.2500 0.9304 P
0.4504 0.4803 0.6533 O
0.7086 0.6355 0.9980 O
0.2086 0.8645 0.4980 O
0.7204 0.6180 0.7359 O
0.2914 0.3645 0.0020 O
0.9504 0.9803 0.3467 O
0.5601 0.2212 0.3646 O
0.0601 0.2788 0.8646 O
0.7796 0.8820 0.7359 O
0.9399 0.2788 0.3646 O
0.7969 0.8767 0.5278 O
0.5496 0.4803 0.1533 O
0.9399 0.7212 0.1354 O
0.7031 0.6233 0.5278 O
0.2204 0.8820 0.2359 O
0.2796 0.6180 0.2359 O
0.5601 0.7788 0.1354 O
0.7031 0.3767 0.9722 O
0.2031 0.1233 0.4722 O
0.0496 0.0197 0.6533 O
0.7969 0.1233 0.9722 O
0.2086 0.1355 0.0020 O
0.7914 0.1355 0.5020 O
0.0496 0.9803 0.8467 O
0.7086 0.3645 0.5020 O
0.4399 0.2212 0.8646 O
0.7914 0.8645 0.9980 O
0.4504 0.5197 0.8467 O
0.2969 0.6233 0.0278 O
0.0601 0.7212 0.6354 O
0.7204 0.3820 0.7641 O
0.2204 0.1180 0.2641 O
0.4399 0.7788 0.6354 O
0.5496 0.5197 0.3467 O
0.7796 0.1180 0.7641 O
0.2031 0.8767 0.0278 O
0.2796 0.3820 0.2641 O
0.9504 0.0197 0.1533 O
0.2914 0.6355 0.4980 O
0.2969 0.3767 0.4722 O
```

Values from the calculation:
The formation energy is -2.7841 eV per atom. As for the magnetization: 0.00 Bohr magnetons per cell.

---

(5)
A relaxed YCuF5 crystal, computed with PBE.

Structure (POSCAR):
```
YCuF5
1.0
1.1121 1.1138 5.5088
3.0790 4.5603 -1.5962
-5.5096 -1.5646 -0.1446
Y Cu F
1 1 5
Direct
0.5000 0.5000 0.0000 Y
0.0000 0.0000 0.0000 Cu
0.8131 0.5000 0.3131 F
0.1869 0.5000 0.6869 F
0.2257 0.2257 0.0000 F
0.7743 0.7743 0.0000 F
0.5000 0.0000 0.5000 F
```

Values from the calculation:
The formation energy is -3.1549 eV per atom. As for the magnetization: 1.00 Bohr magnetons per cell.

---

(6)
A relaxed K3LiMg4Si12O30 crystal, computed with PBE.

Structure (POSCAR):
```
K3LiMg4Si12O30
1.0
3.1228 9.8273 1.6084
-4.7141 -5.3083 7.6494
12.4632 -4.6854 4.4293
K Li Mg Si O
6 2 8 24 60
Direct
0.6673 0.3313 0.5000 K
0.0000 0.0000 0.2500 K
0.6687 0.3327 0.0000 K
0.3313 0.6673 0.0000 K
0.3327 0.6687 0.5000 K
0.0000 0.0000 0.7500 K
0.5000 0.0000 0.2501 Li
0.0000 0.5000 0.7501 Li
0.6611 0.3219 0.2500 Mg
0.6781 0.3389 0.7500 Mg
0.5000 0.0000 0.7500 Mg
0.3389 0.6781 0.2500 Mg
0.0000 0.5000 0.2500 Mg
0.3219 0.6611 0.7500 Mg
0.5000 0.5000 0.2499 Mg
0.5000 0.5000 0.7499 Mg
0.7692 0.6583 0.6159 Si
0.7675 0.6579 0.3838 Si
0.8891 0.6544 0.8833 Si
0.8906 0.6581 0.1159 Si
0.3417 0.2308 0.1159 Si
0.3421 0.2325 0.8838 Si
0.3456 0.1109 0.3833 Si
0.3419 0.1094 0.6159 Si
0.8895 0.2305 0.3843 Si
0.8893 0.2342 0.6168 Si
0.2342 0.8893 0.1168 Si
0.2305 0.8895 0.8843 Si
0.7658 0.1107 0.1168 Si
0.7695 0.1105 0.8843 Si
0.1105 0.7695 0.3843 Si
0.1107 0.7658 0.6168 Si
0.6544 0.8891 0.3833 Si
0.6581 0.8906 0.6159 Si
0.6583 0.7692 0.1159 Si
0.6579 0.7675 0.8838 Si
0.1109 0.3456 0.8833 Si
0.1094 0.3419 0.1159 Si
0.2308 0.3417 0.6159 Si
0.2325 0.3421 0.3838 Si
0.7837 0.7253 0.1466 O
0.7836 0.7252 0.8535 O
0.9411 0.7255 0.3528 O
0.9424 0.7282 0.6465 O
0.7600 0.6395 0.4998 O
0.8811 0.6414 0.0000 O
0.6580 0.5026 0.3323 O
0.6578 0.5031 0.6670 O
0.4969 0.3422 0.1670 O
0.4974 0.3420 0.8323 O
0.8399 0.4989 0.8350 O
0.8445 0.5028 0.1676 O
0.2748 0.2164 0.3535 O
0.2747 0.2163 0.6466 O
0.3605 0.2400 0.9998 O
0.3586 0.1189 0.5000 O
0.2718 0.0576 0.1465 O
0.2745 0.0589 0.8528 O
0.8401 0.3411 0.6649 O
0.8455 0.3419 0.3332 O
0.5011 0.1601 0.3350 O
0.4972 0.1555 0.6676 O
0.2145 0.9428 0.3533 O
0.2160 0.9416 0.6473 O
0.6589 0.1599 0.1649 O
0.6581 0.1545 0.8332 O
0.8816 0.2389 0.5002 O
0.0584 0.7840 0.1473 O
0.0572 0.7855 0.8533 O
0.2389 0.8816 0.0002 O
0.7611 0.1184 0.0002 O
0.9416 0.2160 0.1473 O
0.9428 0.2145 0.8533 O
0.1184 0.7611 0.5002 O
0.3411 0.8401 0.1649 O
0.3419 0.8455 0.8332 O
0.7840 0.0584 0.6473 O
0.7855 0.0572 0.3533 O
0.4989 0.8399 0.3350 O
0.5028 0.8445 0.6676 O
0.1599 0.6589 0.6649 O
0.1545 0.6581 0.3332 O
0.7282 0.9424 0.1465 O
0.7255 0.9411 0.8528 O
0.6414 0.8811 0.5000 O
0.6395 0.7600 0.9998 O
0.7252 0.7836 0.3535 O
0.7253 0.7837 0.6466 O
0.1601 0.5011 0.8350 O
0.1555 0.4972 0.1676 O
0.5031 0.6578 0.1670 O
0.5026 0.6580 0.8323 O
0.3420 0.4974 0.3323 O
0.3422 0.4969 0.6670 O
0.1189 0.3586 0.0000 O
0.2400 0.3605 0.4998 O
0.0589 0.2745 0.3528 O
0.0576 0.2718 0.6465 O
0.2163 0.2747 0.1466 O
0.2164 0.2748 0.8535 O
```

Values from the calculation:
The formation energy is -3.1538 eV per atom. As for the magnetization: 0.00 Bohr magnetons per cell.

---

(7)
A relaxed Na3InSiGeP2O12 crystal, computed with PBE.

Structure (POSCAR):
```
Na3InSiGeP2O12
1.0
-4.2777 -4.0965 -6.6894
1.7536 -4.4541 7.5441
-19.2685 6.4957 8.0783
Na In Si Ge P O
18 6 6 6 12 72
Direct
0.9948 0.9903 0.4985 Na
0.0097 0.0052 0.9985 Na
0.6705 0.3270 0.8321 Na
0.6730 0.3295 0.3321 Na
0.3611 0.6859 0.1649 Na
0.3141 0.6389 0.6649 Na
0.3592 0.3534 0.2482 Na
0.9934 0.6350 0.2464 Na
0.6466 0.6408 0.7482 Na
0.3650 0.0066 0.7464 Na
0.0358 0.6968 0.5810 Na
0.6497 0.9655 0.5856 Na
0.3032 0.9642 0.0810 Na
0.0345 0.3503 0.0856 Na
0.9807 0.6822 0.9191 Na
0.6973 0.0247 0.9124 Na
0.9753 0.3027 0.4124 Na
0.3178 0.0193 0.4191 Na
0.9890 0.9908 0.3505 In
0.0092 0.0110 0.8505 In
0.6719 0.3315 0.6847 In
0.6685 0.3281 0.1847 In
0.3319 0.6661 0.0172 In
0.3339 0.6681 0.5172 In
0.0069 0.2971 0.2521 Si
0.7029 0.9931 0.7521 Si
0.3650 0.0477 0.5841 Si
0.9523 0.6350 0.0841 Si
0.3459 0.9740 0.9185 Si
0.0260 0.6541 0.4185 Si
0.0070 0.0141 0.6478 Ge
0.9859 0.9930 0.1478 Ge
0.6638 0.3401 0.9805 Ge
0.6599 0.3362 0.4805 Ge
0.3243 0.6576 0.3143 Ge
0.3424 0.6757 0.8143 Ge
0.2883 0.9859 0.2508 P
0.6943 0.7120 0.2490 P
0.2880 0.3057 0.7490 P
0.0141 0.7117 0.7508 P
0.9569 0.3211 0.5807 P
0.6778 0.6329 0.5850 P
0.6789 0.0431 0.0807 P
0.3671 0.3222 0.0850 P
0.6202 0.6507 0.9139 P
0.0379 0.3835 0.9176 P
0.6165 0.9621 0.4176 P
0.3493 0.3798 0.4139 P
0.2162 0.0153 0.3103 O
0.8124 0.7735 0.3042 O
0.9941 0.2037 0.3153 O
0.2265 0.1876 0.8042 O
0.9847 0.7838 0.8103 O
0.7963 0.0059 0.8153 O
0.8078 0.9656 0.6922 O
0.1732 0.2149 0.6917 O
0.0456 0.8341 0.6944 O
0.7851 0.8268 0.1917 O
0.0344 0.1922 0.1922 O
0.1659 0.9544 0.1944 O
0.8882 0.3706 0.6370 O
0.4753 0.1179 0.6455 O
0.6599 0.5429 0.6457 O
0.8821 0.5247 0.1455 O
0.6294 0.1118 0.1370 O
0.4571 0.3401 0.1457 O
0.4675 0.2953 0.0305 O
0.8315 0.5334 0.0224 O
0.7108 0.1609 0.0232 O
0.4666 0.1685 0.5224 O
0.7047 0.5325 0.5305 O
0.8391 0.2892 0.5232 O
0.5373 0.6828 0.9693 O
0.1222 0.4450 0.9802 O
0.3098 0.8649 0.9802 O
0.5550 0.8778 0.4802 O
0.3172 0.4627 0.4693 O
0.1351 0.6902 0.4802 O
0.1273 0.6184 0.3588 O
0.4886 0.8534 0.3653 O
0.3696 0.4842 0.3536 O
0.1466 0.5114 0.8653 O
0.3816 0.8727 0.8588 O
0.5158 0.6304 0.8536 O
0.0075 0.8242 0.4125 O
0.8023 0.9995 0.4113 O
0.1949 0.1942 0.4115 O
0.0005 0.1977 0.9113 O
0.1758 0.9925 0.9125 O
0.8058 0.8051 0.9115 O
0.9491 0.1428 0.5888 O
0.1708 0.0311 0.5897 O
0.8494 0.8132 0.5860 O
0.9689 0.8292 0.0897 O
0.8572 0.0509 0.0888 O
0.1868 0.1506 0.0860 O
0.6650 0.1523 0.7491 O
0.4768 0.3478 0.7415 O
0.8543 0.5328 0.7443 O
0.6522 0.5232 0.2415 O
0.8477 0.3350 0.2491 O
0.4672 0.1457 0.2443 O
0.6302 0.4814 0.9195 O
0.8599 0.3813 0.9175 O
0.5318 0.1604 0.9241 O
0.6187 0.1401 0.4175 O
0.5186 0.3698 0.4195 O
0.8396 0.4682 0.4241 O
0.3368 0.4756 0.0785 O
0.1486 0.6633 0.0812 O
0.5338 0.8570 0.0748 O
0.3367 0.8514 0.5812 O
0.5244 0.6632 0.5785 O
0.1430 0.4662 0.5748 O
0.2970 0.8154 0.2552 O
0.5213 0.7139 0.2572 O
0.1933 0.4895 0.2524 O
0.2861 0.4787 0.7572 O
0.1846 0.7030 0.7552 O
0.5105 0.8067 0.7524 O
```

Values from the calculation:
The formation energy is -2.4863 eV per atom. As for the magnetization: 0.00 Bohr magnetons per cell.

---

(8)
A relaxed KC2 crystal, computed with PBE.

Structure (POSCAR):
```
KC2
1.0
3.4804 2.4037 1.4276
0.5985 -4.5806 -0.7266
0.5438 3.6215 -7.4237
K C
2 4
Direct
0.7839 0.5679 0.7516 K
0.2161 0.4321 0.2484 K
0.9279 0.8558 0.4426 C
0.0721 0.1442 0.5574 C
0.5359 0.0717 0.9428 C
0.4641 0.9283 0.0572 C
```

Values from the calculation:
The formation energy is 1.3021 eV per atom. As for the magnetization: 2.00 Bohr magnetons per cell.